The following is a DFT calculation (PBE with a Hubbard U) of a geometry-optimized MgV2P2H2O10 structure.

Cell: 5.2654 5.4550 7.4448 Å, 110.41 107.22 95.92°
Fractional positions:
Mg 0.0000 0.0000 0.0000
V 0.0209 0.6751 0.2903
V 0.5073 0.1696 0.7622
P 0.4417 0.7857 0.0258
P 0.5963 0.5491 0.5227
H 0.0172 0.3952 0.9327
H 0.0258 0.1376 0.5386
O 0.1489 0.0141 0.5341
O 0.2739 0.8379 0.1709
O 0.2847 0.4887 0.4153
O 0.3429 0.4877 0.8781
O 0.3503 0.9816 0.9191
O 0.6762 0.3442 0.6202
O 0.7011 0.8386 0.7027
O 0.7349 0.5236 0.3647
O 0.7561 0.8677 0.1336
O 0.8996 0.3425 0.0018

* space group: P1
* magnetic moment: 4.000 μB/cell
* raw total energy: -7.02 eV per atom

---

The following is a DFT calculation (PBE with a Hubbard U) of a geometry-optimized MgV2P2H2O10 structure.

Cell: 5.2042 5.4588 7.3995 Å, 110.64 107.71 92.68°
Fractional positions:
Mg 0.0000 0.0000 0.0000
V 0.0000 0.5000 0.0000
V 0.5000 0.0000 0.5000
P 0.3883 0.6014 0.7470
P 0.6117 0.3986 0.2530
H 0.0179 0.1332 0.6918
H 0.9821 0.8668 0.3082
O 0.1242 0.8658 0.2459
O 0.2029 0.6907 0.8820
O 0.3064 0.3168 0.1045
O 0.3172 0.2955 0.6389
O 0.3424 0.7509 0.6031
O 0.6576 0.2491 0.3969
O 0.6828 0.7045 0.3611
O 0.6936 0.6832 0.8955
O 0.7971 0.3093 0.1180
O 0.8758 0.1342 0.7541

* space group: P-1
* magnetic moment: 4.002 μB/cell
* raw total energy: -7.02 eV per atom

---

The following is a DFT calculation (PBE with a Hubbard U) of a geometry-optimized MgV2P2H8O14 structure.

Cell: 6.3526 6.3668 8.0837 Å, 112.81 112.93 90.35°
Fractional positions:
Mg 0.0000 0.0000 0.0000
V 0.2762 0.2831 0.5571
V 0.7227 0.7281 0.4463
P 0.2492 0.7556 0.5008
P 0.7489 0.2564 0.5025
H 0.1226 0.5836 0.8987
H 0.2562 0.7238 0.1350
H 0.3152 0.1099 0.8913
H 0.4212 0.2417 0.1283
H 0.5772 0.7664 0.8815
H 0.6941 0.8925 0.1193
H 0.7655 0.3023 0.8834
H 0.8904 0.4227 0.1201
O 0.0132 0.3415 0.6382
O 0.1567 0.1616 0.3141
O 0.1937 0.7390 0.0080
O 0.2759 0.1841 0.0046
O 0.3002 0.0188 0.6374
O 0.3351 0.6270 0.6369
O 0.3783 0.7062 0.3646
O 0.6213 0.3070 0.6397
O 0.6622 0.3845 0.3659
O 0.6973 0.9927 0.3657
O 0.7261 0.8201 0.0011
O 0.8202 0.2724 0.0027
O 0.8445 0.8471 0.6893
O 0.9851 0.6698 0.3639

* space group: P1
* magnetic moment: 2.000 μB/cell
* raw total energy: -6.30 eV per atom

---

The following is a DFT calculation (PBE with a Hubbard U) of a geometry-optimized RbMgV5H16O22 structure.

Cell: 10.5240 10.8826 11.5166 Å, 65.03 74.17 85.03°
Fractional positions:
Rb 0.2162 0.3289 0.3875
Rb 0.7838 0.6711 0.6125
Mg 0.1198 0.7459 0.6627
Mg 0.8802 0.2541 0.3373
V 0.2178 0.9919 0.0155
V 0.2563 0.2100 0.1095
V 0.3594 0.2555 0.6949
V 0.3636 0.7249 0.2480
V 0.4557 0.9177 0.3893
V 0.5443 0.0823 0.6107
V 0.6364 0.2751 0.7520
V 0.6406 0.7445 0.3051
V 0.7437 0.7900 0.8905
V 0.7822 0.0081 0.9845
H 0.0153 0.5205 0.8062
H 0.0497 0.9576 0.9170
H 0.0694 0.8107 0.4311
H 0.0781 0.4612 0.6665
H 0.1134 0.9406 0.4360
H 0.1284 0.8133 0.8713
H 0.2090 0.6862 0.8697
H 0.2612 0.4791 0.9681
H 0.2612 0.5673 0.4725
H 0.3392 0.5682 0.0092
H 0.4066 0.6479 0.1430
H 0.4342 0.5989 0.7958
H 0.4476 0.1094 0.9708
H 0.4695 0.3231 0.0098
H 0.4713 0.6872 0.6401
H 0.4719 0.4713 0.6991
H 0.5281 0.5287 0.3009
H 0.5287 0.3128 0.3599
H 0.5305 0.6769 0.9902
H 0.5524 0.8906 0.0292
H 0.5658 0.4011 0.2042
H 0.5934 0.3521 0.8570
H 0.6608 0.4318 0.9908
H 0.7388 0.4327 0.5275
H 0.7388 0.5209 0.0319
H 0.7910 0.3138 0.1303
H 0.8716 0.1867 0.1287
H 0.8866 0.0594 0.5640
H 0.9219 0.5388 0.3335
H 0.9306 0.1893 0.5689
H 0.9503 0.0424 0.0830
H 0.9847 0.4795 0.1938
O 0.0361 0.5733 0.7102
O 0.0550 0.8589 0.4888
O 0.1133 0.0565 0.1122
O 0.1173 0.9060 0.9617
O 0.1196 0.3832 0.6369
O 0.1448 0.7507 0.8262
O 0.1731 0.1611 0.2689
O 0.1871 0.3429 0.0106
O 0.2340 0.6345 0.3930
O 0.2558 0.4042 0.6336
O 0.2601 0.1349 0.8466
O 0.2786 0.8387 0.1196
O 0.2878 0.9462 0.4744
O 0.3101 0.5698 0.9350
O 0.3149 0.8018 0.5537
O 0.3644 0.0854 0.0396
O 0.4086 0.2906 0.0994
O 0.4129 0.2091 0.5563
O 0.4587 0.8669 0.2569
O 0.4683 0.9362 0.6696
O 0.4832 0.3752 0.6996
O 0.4907 0.6022 0.7096
O 0.5093 0.3978 0.2904
O 0.5168 0.6248 0.3004
O 0.5317 0.0638 0.3304
O 0.5413 0.1331 0.7431
O 0.5871 0.7909 0.4437
O 0.5914 0.7094 0.9006
O 0.6356 0.9146 0.9604
O 0.6851 0.1982 0.4463
O 0.6899 0.4302 0.0650
O 0.7122 0.0538 0.5256
O 0.7214 0.1613 0.8804
O 0.7399 0.8651 0.1534
O 0.7442 0.5958 0.3664
O 0.7660 0.3655 0.6070
O 0.8129 0.6571 0.9894
O 0.8269 0.8389 0.7311
O 0.8552 0.2493 0.1738
O 0.8804 0.6168 0.3631
O 0.8827 0.0940 0.0383
O 0.8867 0.9435 0.8878
O 0.9450 0.1411 0.5112
O 0.9639 0.4267 0.2898

* space group: P-1
* magnetic moment: 4.000 μB/cell
* raw total energy: -5.74 eV per atom

---

The following is a DFT calculation (PBE with a Hubbard U) of a geometry-optimized MgV4H8O14 structure.

Cell: 6.4117 6.5591 8.0073 Å, 84.77 66.81 79.23°
Fractional positions:
Mg 0.0000 0.0000 0.0000
V 0.2268 0.3404 0.3990
V 0.2780 0.8200 0.5301
V 0.7220 0.1800 0.4699
V 0.7732 0.6596 0.6010
H 0.1945 0.3535 0.9905
H 0.2583 0.2897 0.7875
H 0.2919 0.9211 0.1759
H 0.3928 0.7572 0.0129
H 0.6072 0.2428 0.9871
H 0.7081 0.0789 0.8241
H 0.7417 0.7103 0.2125
H 0.8055 0.6465 0.0095
O 0.1139 0.6286 0.5106
O 0.1467 0.2806 0.9137
O 0.1749 0.8921 0.7447
O 0.2527 0.0335 0.3885
O 0.2675 0.8690 0.0746
O 0.3483 0.3952 0.1804
O 0.4295 0.2879 0.5347
O 0.5705 0.7121 0.4653
O 0.6517 0.6048 0.8196
O 0.7325 0.1310 0.9254
O 0.7473 0.9665 0.6115
O 0.8251 0.1079 0.2553
O 0.8533 0.7194 0.0863
O 0.8861 0.3714 0.4894

* space group: P-1
* magnetic moment: 2.001 μB/cell
* raw total energy: -6.32 eV per atom

---

The following is a DFT calculation (PBE with a Hubbard U) of a geometry-optimized MgV6H6O18 structure.

Cell: 5.1913 8.0805 9.1901 Å, 91.15 90.89 106.36°
Fractional positions:
Mg 0.0000 0.0000 0.0000
V 0.0089 0.2812 0.6716
V 0.2703 0.4162 0.1705
V 0.4539 0.1826 0.4793
V 0.4547 0.2146 0.8459
V 0.8141 0.5291 0.3775
V 0.8188 0.5509 0.9708
H 0.5433 0.9458 0.0778
H 0.5546 0.9384 0.6687
H 0.6441 0.7829 0.7653
H 0.6473 0.7689 0.5863
H 0.6538 0.9720 0.2409
H 0.6782 0.7285 0.1789
O 0.0526 0.1344 0.8109
O 0.0599 0.2205 0.1325
O 0.1092 0.1516 0.5194
O 0.1303 0.5672 0.0417
O 0.1339 0.5426 0.3202
O 0.3107 0.4187 0.6993
O 0.4076 0.0400 0.9592
O 0.4790 0.0178 0.3795
O 0.4889 0.3528 0.3314
O 0.4889 0.3889 0.9990
O 0.5512 0.8058 0.6735
O 0.5577 0.1158 0.6647
O 0.6814 0.9185 0.1451
O 0.6889 0.6053 0.1812
O 0.8024 0.3635 0.5253
O 0.8050 0.7046 0.4706
O 0.8084 0.3895 0.8174
O 0.8239 0.7512 0.9082

* space group: P1
* magnetic moment: 2.000 μB/cell
* raw total energy: -6.66 eV per atom

---

The following is a DFT calculation (PBE with a Hubbard U) of a geometry-optimized MgV6H6O18 structure.

Cell: 5.1503 7.7147 8.6559 Å, 89.99 89.99 77.24°
Fractional positions:
Mg 0.0000 0.0000 0.0000
V 0.2045 0.3135 0.7902
V 0.2045 0.3136 0.2096
V 0.2793 0.6777 0.3033
V 0.2792 0.6777 0.6967
V 0.6955 0.3994 0.9999
V 0.7795 0.5863 0.4999
H 0.4674 0.0989 0.9999
H 0.6571 0.8230 0.0919
H 0.6578 0.8222 0.9092
H 0.6628 0.0864 0.4086
H 0.6628 0.0864 0.5912
H 0.9189 0.9372 0.4999
O 0.0504 0.4929 0.6613
O 0.0506 0.4929 0.3385
O 0.0991 0.7591 0.4999
O 0.1204 0.8333 0.1803
O 0.1202 0.8332 0.8196
O 0.3873 0.2290 0.9999
O 0.3908 0.1511 0.3084
O 0.3907 0.1511 0.6914
O 0.4207 0.4857 0.1663
O 0.4207 0.4856 0.8335
O 0.5607 0.4568 0.4998
O 0.5763 0.7439 0.3365
O 0.5761 0.7438 0.6632
O 0.6466 0.9005 0.0003
O 0.7894 0.0650 0.4999
O 0.8806 0.5493 0.9997
O 0.9228 0.2255 0.1468
O 0.9228 0.2254 0.8531

* space group: P1
* magnetic moment: 2.001 μB/cell
* raw total energy: -6.66 eV per atom

---

The following is a DFT calculation (PBE with a Hubbard U) of a geometry-optimized MgV6H6O18 structure.

Cell: 5.2030 8.9452 8.5498 Å, 90.00 106.41 90.00°
Fractional positions:
Mg 0.0000 0.0000 0.0000
V 0.1751 0.5000 0.7483
V 0.4011 0.2067 0.5292
V 0.4011 0.7933 0.5292
V 0.7458 0.3080 0.8662
V 0.7458 0.6920 0.8662
V 0.9426 0.0000 0.6253
H 0.4961 0.0000 0.3390
H 0.5016 0.0860 0.0963
H 0.5016 0.9140 0.0963
H 0.5647 0.4080 0.2871
H 0.5647 0.5920 0.2871
H 0.6352 0.5000 0.1259
O 0.0746 0.1451 0.4986
O 0.0746 0.8549 0.4986
O 0.0766 0.3495 0.8933
O 0.0766 0.6505 0.8933
O 0.1617 0.0000 0.8131
O 0.4103 0.0000 0.1337
O 0.4123 0.3475 0.6941
O 0.4123 0.6525 0.6941
O 0.4208 0.2942 0.3620
O 0.4208 0.7058 0.3620
O 0.5266 0.0000 0.4598
O 0.6493 0.5000 0.9419
O 0.6497 0.5000 0.2478
O 0.7254 0.1621 0.6944
O 0.7254 0.8379 0.6944
O 0.7565 0.1757 0.0151
O 0.7565 0.8243 0.0151
O 0.9020 0.5000 0.5972

* space group: Pm
* magnetic moment: 2.002 μB/cell
* raw total energy: -6.65 eV per atom

---

no.,MP2020-corrected energy (eV/cell)
1,-129.6
2,-129.6
3,-183.1
4,-563.7
5,-187.1
6,-228.9
7,-228.9
8,-228.8